# 1
Density functional theory data (meta-GGA r2SCAN) for an optimized crystal structure of V5As3.

Cell: 7.1064 7.1064 7.1064 Å, 96.78 96.78 139.80°
With the nearest neighbours (Å) after each atom.
Positions (direct):
V: 0.0790 0.7723 0.8512  6 As 2.50-2.77, 1 V 2.58
V: 0.2277 0.0790 0.3067  6 As 2.50-2.77, 1 V 2.58
V: 0.2500 0.7500 0.5000  2 V 2.44, 4 As 2.50
V: 0.2723 0.5790 0.8512  6 As 2.50-2.77, 1 V 2.58
V: 0.4210 0.2723 0.6933  6 As 2.50-2.77, 1 V 2.58
V: 0.5790 0.7277 0.3067  6 As 2.50-2.77, 1 V 2.58
V: 0.7277 0.4210 0.1488  6 As 2.50-2.77, 1 V 2.58
V: 0.7500 0.2500 0.5000  2 V 2.44, 4 As 2.50
V: 0.7723 0.9210 0.6933  6 As 2.50-2.77, 1 V 2.58
V: 0.9210 0.2277 0.1488  6 As 2.50-2.77, 1 V 2.58
As: 0.1636 0.3364 0.5000  10 V 2.50-2.77
As: 0.2500 0.2500 0.0000  2 As 2.44, 8 V 2.58
As: 0.3364 0.8364 0.1728  10 V 2.50-2.77
As: 0.6636 0.1636 0.8272  10 V 2.50-2.77
As: 0.7500 0.7500 0.0000  2 As 2.44, 8 V 2.58
As: 0.8364 0.6636 0.5000  10 V 2.50-2.77

Computed properties:
* space group: I4/mcm (140)
* electronic total energy: -14.80 eV per atom
* calculated volume: 13.6 A^3/atom
* energy of formation: -483 meV/atom

# 2
Density functional theory data (meta-GGA r2SCAN) for an optimized crystal structure of K2VCl6.

Cell: 6.8692 6.8692 6.8692 Å, 60.00 60.00 60.00°
With the nearest neighbours (Å) after each atom.
Positions (direct):
K: 0.2500 0.2500 0.2500  12 Cl 3.44
K: 0.7500 0.7500 0.7500  12 Cl 3.44
V: 0.0000 0.0000 0.0000  6 Cl 2.31
Cl: 0.2382 0.2382 0.7618  1 V 2.31
Cl: 0.2382 0.7618 0.2382  1 V 2.31
Cl: 0.2382 0.7618 0.7618  1 V 2.31
Cl: 0.7618 0.2382 0.2382  1 V 2.31
Cl: 0.7618 0.2382 0.7618  1 V 2.31
Cl: 0.7618 0.7618 0.2382  1 V 2.31

Computed properties:
* space group: Fm-3m (225)
* electronic total energy: -8.73 eV per atom
* calculated volume: 25.5 A^3/atom
* energy of formation: -1725 meV/atom

# 3
Density functional theory data (meta-GGA r2SCAN) for an optimized crystal structure of K2ZnCu3P3O12F.

Cell: 4.8798 14.3656 7.8701 Å, 90.00 90.09 90.00°
With the nearest neighbours (Å) after each atom.
Positions (direct):
K: 0.0000 0.0000 0.0000  4 O 2.78-3.03
K: 0.0000 0.5000 0.0000  4 O 2.78-3.03
K: 0.0522 0.2500 0.3610  2 F 2.66-2.73, 7 O 2.77-2.92
K: 0.9478 0.7500 0.6390  2 F 2.66-2.73, 7 O 2.77-2.92
Zn: 0.4679 0.7500 0.9538  4 O 1.93-1.96
Zn: 0.5321 0.2500 0.0462  4 O 1.93-1.96
Cu: 0.0000 0.0000 0.5000  4 O 1.92-2.00
Cu: 0.0000 0.5000 0.5000  4 O 1.92-2.00
Cu: 0.4340 0.6378 0.3558  3 O 1.90-2.03, 1 F 1.94
Cu: 0.4340 0.8622 0.3558  3 O 1.90-2.03, 1 F 1.94
Cu: 0.5660 0.1378 0.6442  3 O 1.90-2.03, 1 F 1.94
Cu: 0.5660 0.3622 0.6442  3 O 1.90-2.03, 1 F 1.94
P: 0.0280 0.2500 0.8192  4 O 1.54-1.56
P: 0.4971 0.5663 0.7066  4 O 1.52-1.57
P: 0.4971 0.9337 0.7066  4 O 1.52-1.57
P: 0.5029 0.0663 0.2934  4 O 1.52-1.57
P: 0.5029 0.4337 0.2934  4 O 1.52-1.57
P: 0.9720 0.7500 0.1808  4 O 1.54-1.56
O: 0.0626 0.6620 0.2763  1 P 1.54
O: 0.0626 0.8380 0.2763  1 P 1.54
O: 0.0783 0.7500 0.9970  1 P 1.54
O: 0.1916 0.5766 0.6612  1 P 1.54
O: 0.1916 0.9234 0.6612  1 P 1.54
O: 0.3312 0.0788 0.4610  1 P 1.57
O: 0.3312 0.4212 0.4610  1 P 1.57
O: 0.3466 0.2500 0.8246  1 P 1.56
O: 0.4164 0.1398 0.1662  1 P 1.52
O: 0.4164 0.3602 0.1662  1 P 1.52
O: 0.4428 0.5297 0.2168  1 P 1.53
O: 0.4428 0.9703 0.2168  1 P 1.53
O: 0.5572 0.0297 0.7832  1 P 1.53
O: 0.5572 0.4703 0.7832  1 P 1.53
O: 0.5836 0.6398 0.8338  1 P 1.52
O: 0.5836 0.8602 0.8338  1 P 1.52
O: 0.6534 0.7500 0.1754  1 P 1.56
O: 0.6688 0.5788 0.5390  1 P 1.57
O: 0.6688 0.9212 0.5390  1 P 1.57
O: 0.8084 0.0766 0.3388  1 P 1.54
O: 0.8084 0.4234 0.3388  1 P 1.54
O: 0.9217 0.2500 0.0030  1 P 1.54
O: 0.9374 0.1620 0.7237  1 P 1.54
O: 0.9374 0.3380 0.7237  1 P 1.54
F: 0.4394 0.7500 0.4929  2 Cu 1.94
F: 0.5606 0.2500 0.5071  2 Cu 1.94

Computed properties:
* space group: P2_1/m (11)
* electronic total energy: -9.09 eV per atom
* calculated volume: 12.5 A^3/atom
* energy of formation: -2036 meV/atom

# 4
Density functional theory data (meta-GGA r2SCAN) for an optimized crystal structure of HoNi5Ge3.

Cell: 18.8896 3.8171 6.7820 Å, 90.00 90.00 90.00°
With the nearest neighbours (Å) after each atom.
Positions (direct):
Ho: 0.1454 0.2500 0.1209  6 Ge 2.94-2.95, 9 Ni 3.02-3.28
Ho: 0.3546 0.7500 0.6209  6 Ge 2.94-2.95, 9 Ni 3.02-3.28
Ho: 0.6454 0.2500 0.3791  6 Ge 2.94-2.95, 9 Ni 3.02-3.28
Ho: 0.8546 0.7500 0.8791  6 Ge 2.94-2.95, 9 Ni 3.02-3.28
Ni: 0.0042 0.7500 0.1327  4 Ge 2.34-2.44, 2 Ni 2.55
Ni: 0.0129 0.2500 0.3817  4 Ge 2.31-2.36, 5 Ni 2.54-2.57
Ni: 0.1121 0.2500 0.6408  5 Ge 2.36-2.53, 1 Ni 2.57
Ni: 0.2002 0.7500 0.8112  4 Ge 2.37-2.42, 1 Ni 2.62
Ni: 0.2075 0.7500 0.4253  4 Ge 2.30-2.37
Ni: 0.2925 0.2500 0.9253  4 Ge 2.30-2.37
Ni: 0.2998 0.2500 0.3112  4 Ge 2.37-2.42, 1 Ni 2.62
Ni: 0.3879 0.7500 0.1408  5 Ge 2.36-2.53, 1 Ni 2.57
Ni: 0.4871 0.7500 0.8817  4 Ge 2.31-2.36, 5 Ni 2.54-2.57
Ni: 0.4958 0.2500 0.6327  4 Ge 2.34-2.44, 2 Ni 2.55
Ni: 0.5042 0.7500 0.3673  4 Ge 2.34-2.44, 2 Ni 2.55
Ni: 0.5129 0.2500 0.1183  4 Ge 2.31-2.36, 5 Ni 2.54-2.57
Ni: 0.6121 0.2500 0.8592  5 Ge 2.36-2.53, 1 Ni 2.57
Ni: 0.7002 0.7500 0.6888  4 Ge 2.37-2.42, 1 Ni 2.62
Ni: 0.7075 0.7500 0.0747  4 Ge 2.30-2.37
Ni: 0.7925 0.2500 0.5747  4 Ge 2.30-2.37
Ni: 0.7998 0.2500 0.1888  4 Ge 2.37-2.42, 1 Ni 2.62
Ni: 0.8879 0.7500 0.3592  5 Ge 2.36-2.53, 1 Ni 2.57
Ni: 0.9871 0.7500 0.6183  4 Ge 2.31-2.36, 5 Ni 2.54-2.57
Ni: 0.9958 0.2500 0.8673  4 Ge 2.34-2.44, 2 Ni 2.55
Ge: 0.0758 0.7500 0.8518  7 Ni 2.31-2.48
Ge: 0.0860 0.7500 0.4068  7 Ni 2.30-2.53
Ge: 0.2365 0.2500 0.6171  7 Ni 2.34-2.42
Ge: 0.2635 0.7500 0.1171  7 Ni 2.34-2.42
Ge: 0.4140 0.2500 0.9068  7 Ni 2.30-2.53
Ge: 0.4242 0.2500 0.3518  7 Ni 2.31-2.48
Ge: 0.5758 0.7500 0.6482  7 Ni 2.31-2.48
Ge: 0.5860 0.7500 0.0932  7 Ni 2.30-2.53
Ge: 0.7365 0.2500 0.8829  7 Ni 2.34-2.42
Ge: 0.7635 0.7500 0.3829  7 Ni 2.34-2.42
Ge: 0.9140 0.2500 0.5932  7 Ni 2.30-2.53
Ge: 0.9242 0.2500 0.1482  7 Ni 2.31-2.48

Computed properties:
* space group: Pnma (62)
* electronic total energy: -15.46 eV per atom
* calculated volume: 13.6 A^3/atom
* energy of formation: -529 meV/atom

# 5
Density functional theory data (meta-GGA r2SCAN) for an optimized crystal structure of BaUO3.

Cell: 6.2396 8.8036 6.2646 Å, 90.00 90.00 90.00°
With the nearest neighbours (Å) after each atom.
Positions (direct):
Ba: 0.0163 0.2500 0.0070  6 O 2.71-2.99
Ba: 0.4837 0.7500 0.5070  6 O 2.71-2.99
Ba: 0.5163 0.2500 0.4930  6 O 2.71-2.99
Ba: 0.9837 0.7500 0.9930  6 O 2.71-2.99
U: 0.0000 0.0000 0.5000  6 O 2.22-2.27
U: 0.0000 0.5000 0.5000  6 O 2.22-2.27
U: 0.5000 0.0000 0.0000  6 O 2.22-2.27
U: 0.5000 0.5000 0.0000  6 O 2.22-2.27
O: 0.0120 0.7500 0.4254  2 U 2.25
O: 0.2299 0.5410 0.7641  2 U 2.22-2.27
O: 0.2299 0.9590 0.7641  2 U 2.22-2.27
O: 0.2701 0.0410 0.2641  2 U 2.22-2.27
O: 0.2701 0.4590 0.2641  2 U 2.22-2.27
O: 0.4880 0.2500 0.9254  2 U 2.25
O: 0.5120 0.7500 0.0746  2 U 2.25
O: 0.7299 0.5410 0.7359  2 U 2.22-2.27
O: 0.7299 0.9590 0.7359  2 U 2.22-2.27
O: 0.7701 0.0410 0.2359  2 U 2.22-2.27
O: 0.7701 0.4590 0.2359  2 U 2.22-2.27
O: 0.9880 0.2500 0.5746  2 U 2.25

Computed properties:
* space group: Pnma (62)
* electronic total energy: -28.26 eV per atom
* calculated volume: 17.2 A^3/atom
* energy of formation: -3386 meV/atom

# 6
Density functional theory data (meta-GGA r2SCAN) for an optimized crystal structure of LaMo6S8.

Cell: 6.5579 6.5579 6.5579 Å, 89.02 89.02 89.02°
With the nearest neighbours (Å) after each atom.
Positions (direct):
La: 0.0000 0.0000 0.0000  8 S 2.83-3.07
Mo: 0.2306 0.4197 0.5627  5 S 2.40-2.61, 2 Mo 2.65
Mo: 0.4197 0.5627 0.2306  5 S 2.40-2.61, 2 Mo 2.65
Mo: 0.4373 0.7694 0.5803  5 S 2.40-2.61, 2 Mo 2.65
Mo: 0.5627 0.2306 0.4197  5 S 2.40-2.61, 2 Mo 2.65
Mo: 0.5803 0.4373 0.7694  5 S 2.40-2.61, 2 Mo 2.65
Mo: 0.7694 0.5803 0.4373  5 S 2.40-2.61, 2 Mo 2.65
S: 0.1255 0.7460 0.3768  4 Mo 2.45-2.61
S: 0.2448 0.2448 0.2448  3 Mo 2.40
S: 0.2540 0.6232 0.8745  4 Mo 2.45-2.61
S: 0.3768 0.1255 0.7460  4 Mo 2.45-2.61
S: 0.6232 0.8745 0.2540  4 Mo 2.45-2.61
S: 0.7460 0.3768 0.1255  4 Mo 2.45-2.61
S: 0.7552 0.7552 0.7552  3 Mo 2.40
S: 0.8745 0.2540 0.6232  4 Mo 2.45-2.61

Computed properties:
* space group: R-3 (148)
* electronic total energy: -17.80 eV per atom
* calculated volume: 18.8 A^3/atom
* energy of formation: -1099 meV/atom

# 7
Density functional theory data (meta-GGA r2SCAN) for an optimized crystal structure of Ti7P4.

Cell: 7.4989 7.4989 13.6198 Å, 104.43 104.43 26.19°
With the nearest neighbours (Å) after each atom.
Positions (direct):
Ti: 0.0000 0.0000 0.0000  4 P 2.44-2.65
Ti: 0.0039 0.0039 0.6629  5 P 2.47-2.53
Ti: 0.1792 0.1792 0.5417  5 P 2.54-2.74
Ti: 0.1963 0.1963 0.3076  4 P 2.45-2.64
Ti: 0.2053 0.2053 0.7940  5 P 2.41-2.55
Ti: 0.3398 0.3398 0.0315  5 P 2.53-2.82
Ti: 0.4292 0.4292 0.8304  4 P 2.54-2.59, 4 Ti 2.83-2.84
Ti: 0.5000 0.5000 0.5000  4 P 2.48-2.61
Ti: 0.5708 0.5708 0.1696  4 P 2.54-2.59, 4 Ti 2.83-2.84
Ti: 0.6602 0.6602 0.9685  5 P 2.53-2.82
Ti: 0.7947 0.7947 0.2060  5 P 2.41-2.55
Ti: 0.8037 0.8037 0.6924  4 P 2.45-2.64
Ti: 0.8208 0.8208 0.4583  5 P 2.54-2.74
Ti: 0.9961 0.9961 0.3371  5 P 2.47-2.53
P: 0.0615 0.0615 0.8498  7 Ti 2.41-2.54
P: 0.1786 0.1786 0.1098  8 Ti 2.52-2.65
P: 0.3696 0.3696 0.3427  8 Ti 2.45-2.55
P: 0.3730 0.3730 0.6041  7 Ti 2.45-2.61
P: 0.6270 0.6270 0.3959  7 Ti 2.45-2.61
P: 0.6304 0.6304 0.6573  8 Ti 2.45-2.55
P: 0.8214 0.8214 0.8902  8 Ti 2.52-2.65
P: 0.9385 0.9385 0.1502  7 Ti 2.41-2.54

Computed properties:
* space group: C2/m (12)
* electronic total energy: -12.71 eV per atom
* calculated volume: 14.9 A^3/atom
* energy of formation: -1199 meV/atom

# 8
Density functional theory data (meta-GGA r2SCAN) for an optimized crystal structure of PrIn2Ni9.

Cell: 8.2188 8.2188 4.8619 Å, 90.00 90.00 90.00°
With the nearest neighbours (Å) after each atom.
Positions (direct):
Pr: 0.0000 0.0000 0.0000  16 Ni 3.03-3.27, 4 In 3.25
Pr: 0.5000 0.5000 0.0000  16 Ni 3.03-3.27, 4 In 3.25
In: 0.1238 0.3762 0.0000  12 Ni 2.63-2.83, 1 In 2.88
In: 0.3762 0.8762 0.0000  12 Ni 2.63-2.83, 1 In 2.88
In: 0.6238 0.1238 0.0000  12 Ni 2.63-2.83, 1 In 2.88
In: 0.8762 0.6238 0.0000  12 Ni 2.63-2.83, 1 In 2.88
Ni: 0.0000 0.5000 0.5000  8 Ni 2.37-2.44
Ni: 0.0662 0.2100 0.5000  8 Ni 2.44-2.60
Ni: 0.1760 0.6760 0.2536  7 Ni 2.37-2.50, 1 In 2.63
Ni: 0.1760 0.6760 0.7464  7 Ni 2.37-2.50, 1 In 2.63
Ni: 0.2100 0.9338 0.5000  8 Ni 2.44-2.60
Ni: 0.2900 0.4338 0.5000  8 Ni 2.44-2.60
Ni: 0.3240 0.1760 0.2536  7 Ni 2.37-2.50, 1 In 2.63
Ni: 0.3240 0.1760 0.7464  7 Ni 2.37-2.50, 1 In 2.63
Ni: 0.4338 0.7100 0.5000  8 Ni 2.44-2.60
Ni: 0.5000 0.0000 0.5000  8 Ni 2.37-2.44
Ni: 0.5662 0.2900 0.5000  8 Ni 2.44-2.60
Ni: 0.6760 0.8240 0.2536  7 Ni 2.37-2.50, 1 In 2.63
Ni: 0.6760 0.8240 0.7464  7 Ni 2.37-2.50, 1 In 2.63
Ni: 0.7100 0.5662 0.5000  8 Ni 2.44-2.60
Ni: 0.7900 0.0662 0.5000  8 Ni 2.44-2.60
Ni: 0.8240 0.3240 0.2536  7 Ni 2.37-2.50, 1 In 2.63
Ni: 0.8240 0.3240 0.7464  7 Ni 2.37-2.50, 1 In 2.63
Ni: 0.9338 0.7900 0.5000  8 Ni 2.44-2.60

Computed properties:
* space group: P4/mbm (127)
* electronic total energy: -15.38 eV per atom
* calculated volume: 13.7 A^3/atom
* energy of formation: -182 meV/atom

- The highest electronic total energy belongs to which entry?
  K2VCl6